## InBiO3 (GGA-PBE)

Data for a relaxed structure of InBiO3.

Unit cell a=4.173 b=4.173 c=4.173 alpha=90.00 beta=90.00 gamma=90.00
Element x y z (fractional)
1 In 0.000 0.000 0.000
2 Bi 0.500 0.500 0.500
3 O 0.500 0.000 0.000
4 O 0.000 0.000 0.500
5 O 0.000 0.500 0.000

**Density**: 8.50 g cm⁻³
**DFT total energy**: -5.21 eV/atom
**ΔE_f**: -1.32 eV/atom

## InBiO3 (GGA-PBE)

Data for a relaxed structure of InBiO3.

Unit cell a=5.678 b=6.096 c=8.204 alpha=90.00 beta=90.00 gamma=90.00
Element x y z (fractional)
1 In 0.500 0.000 0.500
2 In 0.500 0.000 0.000
3 In 0.000 0.500 0.000
4 In 0.000 0.500 0.500
5 Bi 0.012 0.955 0.250
6 Bi 0.988 0.045 0.750
7 Bi 0.488 0.455 0.250
8 Bi 0.512 0.545 0.750
9 O 0.367 0.950 0.750
10 O 0.867 0.550 0.250
11 O 0.172 0.184 0.058
12 O 0.828 0.816 0.942
13 O 0.328 0.684 0.442
14 O 0.633 0.050 0.250
15 O 0.172 0.184 0.442
16 O 0.672 0.316 0.558
17 O 0.328 0.684 0.058
18 O 0.133 0.450 0.750
19 O 0.828 0.816 0.558
20 O 0.672 0.316 0.942

**Density**: 8.70 g cm⁻³
**DFT total energy**: -5.66 eV/atom
**ΔE_f**: -1.78 eV/atom

## InBiO3 (GGA-PBE)

Data for a relaxed structure of InBiO3.

Unit cell a=5.710 b=6.055 c=8.418 alpha=90.00 beta=90.00 gamma=90.00
Element x y z (fractional)
1 In 0.000 0.501 0.515
2 In 0.000 0.499 0.015
3 In 0.500 0.999 0.015
4 In 0.500 0.001 0.515
5 Bi 0.998 0.939 0.793
6 Bi 0.502 0.439 0.793
7 Bi 0.498 0.561 0.293
8 Bi 0.002 0.061 0.293
9 O 0.802 0.793 0.435
10 O 0.116 0.449 0.258
11 O 0.884 0.551 0.758
12 O 0.159 0.162 0.529
13 O 0.659 0.338 0.029
14 O 0.341 0.662 0.529
15 O 0.841 0.838 0.029
16 O 0.616 0.051 0.758
17 O 0.198 0.207 0.935
18 O 0.698 0.293 0.435
19 O 0.384 0.949 0.258
20 O 0.302 0.707 0.935

**Density**: 8.48 g cm⁻³
**DFT total energy**: -5.68 eV/atom
**ΔE_f**: -1.79 eV/atom

## Ta4InBi3O16 (GGA-PBE)

Data for a relaxed structure of Ta4InBi3O16.

Unit cell a=5.517 b=7.816 c=7.745 alpha=101.62 beta=89.32 gamma=87.41
Element x y z (fractional)
1 Ta 0.753 0.331 0.191
2 Ta 0.243 0.673 0.815
3 Ta 0.227 0.659 0.310
4 Ta 0.777 0.344 0.690
5 In 0.709 0.846 0.123
6 Bi 0.289 0.172 0.888
7 Bi 0.236 0.118 0.375
8 Bi 0.755 0.882 0.618
9 O 0.087 0.445 0.780
10 O 0.930 0.552 0.209
11 O 0.542 0.154 0.632
12 O 0.476 0.844 0.361
13 O 0.688 0.336 0.948
14 O 0.356 0.677 0.054
15 O 0.554 0.540 0.705
16 O 0.436 0.453 0.295
17 O 0.551 0.109 0.166
18 O 0.423 0.893 0.819
19 O 0.001 0.107 0.685
20 O 0.996 0.887 0.316
21 O 0.033 0.168 0.128
22 O 0.930 0.799 0.890
23 O 0.861 0.323 0.442
24 O 0.148 0.687 0.558

**Density**: 8.75 g cm⁻³
**DFT total energy**: -8.13 eV/atom
**ΔE_f**: -2.71 eV/atom

## TaInBi2O7 (GGA-PBE)

Data for a relaxed structure of TaInBi2O7.

Unit cell a=7.629 b=7.629 c=7.629 alpha=120.46 beta=119.88 gamma=89.71
Element x y z (fractional)
1 Ta 0.000 0.000 0.000
2 Ta 0.500 0.000 0.500
3 In 0.000 0.000 0.500
4 In 0.000 0.500 0.000
5 Bi 0.500 0.500 0.500
6 Bi 0.500 0.000 0.000
7 Bi 0.500 0.500 0.000
8 Bi 0.000 0.500 0.500
9 O 0.380 0.630 0.750
10 O 0.620 0.370 0.250
11 O 0.292 0.042 0.250
12 O 0.900 0.650 0.250
13 O 0.351 0.679 0.282
14 O 0.897 0.068 0.218
15 O 0.351 0.068 0.671
16 O 0.897 0.679 0.829
17 O 0.708 0.958 0.750
18 O 0.100 0.350 0.750
19 O 0.649 0.321 0.718
20 O 0.103 0.932 0.782
21 O 0.649 0.932 0.329
22 O 0.103 0.321 0.171

**Density**: 8.76 g cm⁻³
**DFT total energy**: -7.02 eV/atom
**ΔE_f**: -2.27 eV/atom

## In4Bi3Pb (GGA-PBE)

Data for a relaxed structure of In4Bi3Pb.

Unit cell a=9.110 b=9.110 c=9.110 alpha=124.66 beta=124.66 gamma=82.11
Element x y z (fractional)
1 In 0.986 0.486 0.802
2 In 0.683 0.183 0.198
3 In 0.486 0.683 0.500
4 In 0.183 0.986 0.500
5 In 0.014 0.514 0.198
6 In 0.317 0.817 0.802
7 In 0.514 0.317 0.500
8 In 0.817 0.014 0.500
9 Bi 0.750 0.750 0.000
10 Bi 0.250 0.250 0.000
11 Bi 0.362 0.862 0.224
12 Bi 0.638 0.138 0.776
13 Bi 0.862 0.638 0.500
14 Bi 0.138 0.362 0.500
15 Pb 0.000 0.000 0.000
16 Pb 0.500 0.500 0.000

**Density**: 8.73 g cm⁻³
**DFT total energy**: -3.25 eV/atom
**ΔE_f**: 0.05 eV/atom